1.
Density functional theory data (PBE+U) for an optimized crystal structure of CaMn2O4.

Unit cell a=6.304 b=10.709 c=6.348 alpha=75.13 beta=60.22 gamma=90.01
Element x y z (fractional)
O1 0.806 0.940 0.817
O2 0.101 0.223 0.798
O3 0.278 0.911 0.445
O4 0.777 0.409 0.445
O5 0.510 0.682 0.431
O6 0.059 0.682 0.431
O7 0.878 0.440 0.816
O8 0.063 0.666 0.875
O9 0.307 0.440 0.816
O10 0.012 0.183 0.429
O11 0.377 0.940 0.817
O12 0.558 0.182 0.429
O13 0.601 0.723 0.799
O14 0.804 0.957 0.393
O15 0.562 0.166 0.875
O16 0.304 0.458 0.393
Mn1 0.859 0.613 0.282
Mn2 0.437 0.314 0.621
Mn3 0.442 0.813 0.622
Mn4 0.186 0.561 0.628
Mn5 0.942 0.314 0.621
Mn6 0.936 0.813 0.622
Mn7 0.686 0.060 0.628
Mn8 0.360 0.114 0.280
Ca1 0.936 0.311 0.127
Ca2 0.517 0.511 0.967
Ca3 0.016 0.011 0.968
Ca4 0.436 0.811 0.128

- ΔH_f (0 K): -2364 meV/atom
- VASP energy: -7.227 eV per atom
- Total energy after the MP2020 corrections: -226.68 eV for the cell shown
- Space group: P1, No. 1
- Magnetic moment: 8.000 μB per formula unit
- ΔE to the lowest computed polymorph: 0.084 eV per atom

=====

2.
Density functional theory data (PBE+U) for an optimized crystal structure of CaMn2O4.

Unit cell a=6.273 b=6.329 c=15.342 alpha=90.25 beta=91.00 gamma=118.86
Element x y z (fractional)
Mn1 0.500 0.001 0.499
Mn2 0.190 0.864 0.711
Mn3 0.489 0.480 0.620
Mn4 0.000 0.000 0.500
Mn5 0.499 0.499 0.001
Mn6 0.337 0.665 0.164
Mn7 0.146 0.809 0.959
Mn8 0.823 0.656 0.163
Mn9 0.511 0.520 0.380
Mn10 0.174 0.343 0.837
Mn11 0.667 0.338 0.835
Mn12 0.811 0.137 0.289
O1 0.656 0.379 0.081
O2 0.134 0.786 0.095
O3 0.521 0.532 0.237
O4 0.235 0.400 0.081
O5 0.966 0.954 0.230
O6 0.681 0.854 0.571
O7 0.812 0.132 0.427
O8 0.324 0.202 0.927
O9 0.144 0.286 0.573
O10 0.963 0.488 0.233
O11 0.033 0.046 0.769
O12 0.319 0.146 0.429
O13 0.336 0.626 0.922
O14 0.474 0.949 0.236
O15 0.481 0.468 0.766
O16 0.665 0.783 0.077
O17 0.527 0.053 0.763
O18 0.043 0.514 0.763
O19 0.778 0.608 0.922
O20 0.189 0.870 0.573
O21 0.353 0.709 0.427
O22 0.866 0.217 0.898
O23 0.857 0.714 0.426
O24 0.647 0.292 0.572
Ca1 0.851 0.183 0.043
Ca2 0.669 0.837 0.836
Ca3 0.329 0.162 0.165
Ca4 0.844 0.177 0.670
Ca5 0.001 0.501 0.500
Ca6 0.155 0.821 0.330

- ΔH_f (0 K): -2321 meV/atom
- VASP energy: -7.183 eV per atom
- Total energy after the MP2020 corrections: -338.19 eV for the cell shown
- Space group: P1, No. 1
- Magnetic moment: 8.000 μB per formula unit
- ΔE to the lowest computed polymorph: 0.127 eV per atom

=====

3.
Density functional theory data (PBE+U) for an optimized crystal structure of CaMn3O4.

Unit cell a=5.615 b=5.615 c=3.257 alpha=90.00 beta=90.00 gamma=109.54
Element x y z (fractional)
Mn1 0.500 0.000 0.500
Mn2 0.000 0.000 0.000
Mn3 0.000 0.500 0.500
O1 0.245 0.755 0.000
O2 0.755 0.245 0.000
O3 0.759 0.759 0.500
O4 0.241 0.241 0.500
Ca1 0.500 0.500 0.000

- ΔH_f (0 K): -2277 meV/atom
- VASP energy: -7.468 eV per atom
- Total energy after the MP2020 corrections: -67.50 eV for the cell shown
- Space group: Cmmm, No. 65
- Magnetic moment: 15.000 μB per formula unit

=====

4.
Density functional theory data (PBE+U) for an optimized crystal structure of CaMn2O4.

Unit cell a=6.152 b=6.152 c=11.745 alpha=89.59 beta=89.59 gamma=54.74
Element x y z (fractional)
Ca1 0.211 0.789 0.500
Ca2 0.264 0.243 0.751
Ca3 0.757 0.736 0.249
Ca4 0.272 0.728 0.000
O1 0.640 0.668 0.572
O2 0.351 0.824 0.321
O3 0.173 0.156 0.574
O4 0.856 0.335 0.821
O5 0.322 0.353 0.929
O6 0.849 0.843 0.928
O7 0.332 0.360 0.428
O8 0.176 0.649 0.679
O9 0.156 0.666 0.180
O10 0.665 0.144 0.179
O11 0.647 0.678 0.071
O12 0.838 0.342 0.327
O13 0.157 0.151 0.072
O14 0.658 0.162 0.673
O15 0.844 0.827 0.426
O16 0.334 0.844 0.820
Mn1 0.025 0.026 0.231
Mn2 0.519 0.036 0.019
Mn3 0.973 0.473 0.484
Mn4 0.964 0.481 0.981
Mn5 0.974 0.975 0.769
Mn6 0.538 0.524 0.727
Mn7 0.527 0.027 0.516
Mn8 0.476 0.462 0.273

- ΔH_f (0 K): -2371 meV/atom
- VASP energy: -7.233 eV per atom
- Total energy after the MP2020 corrections: -226.87 eV for the cell shown
- Space group: C2, No. 5
- Magnetic moment: 8.000 μB per formula unit
- ΔE to the lowest computed polymorph: 0.077 eV per atom

=====

5.
Density functional theory data (PBE+U) for an optimized crystal structure of CaMn2O4.

Unit cell a=5.918 b=6.646 c=5.918 alpha=116.41 beta=90.06 gamma=116.41
Element x y z (fractional)
O1 0.765 0.030 0.799
O2 0.235 0.970 0.769
O3 0.799 0.530 0.765
O4 0.201 0.470 0.235
O5 0.231 0.530 0.765
O6 0.769 0.470 0.235
O7 0.765 0.030 0.231
O8 0.235 0.970 0.201
Ca1 0.625 0.750 0.375
Ca2 0.375 0.250 0.625
Mn1 0.000 0.500 0.000
Mn2 0.500 0.000 0.000
Mn3 0.000 0.000 0.000
Mn4 0.000 0.500 0.500

- ΔH_f (0 K): -2410 meV/atom
- VASP energy: -7.273 eV per atom
- Total energy after the MP2020 corrections: -113.99 eV for the cell shown
- Space group: Fddd, No. 70
- Magnetic moment: 0.000 μB per formula unit
- ΔE to the lowest computed polymorph: 0.038 eV per atom

=====

6.
Density functional theory data (PBE+U) for an optimized crystal structure of CaMn2O4.

Unit cell a=6.345 b=6.345 c=6.345 alpha=120.64 beta=120.64 gamma=88.89
Element x y z (fractional)
Ca1 0.000 0.000 0.000
Ca2 0.750 0.250 0.500
O1 0.101 0.902 0.681
O2 0.652 0.472 0.302
O3 0.170 0.351 0.698
O4 0.098 0.778 0.198
O5 0.580 0.899 0.802
O6 0.649 0.348 0.819
O7 0.528 0.830 0.181
O8 0.222 0.420 0.319
Mn1 0.375 0.125 0.750
Mn2 0.875 0.625 0.250
Mn3 0.375 0.625 0.250
Mn4 0.375 0.625 0.750

- ΔH_f (0 K): -2408 meV/atom
- VASP energy: -7.270 eV per atom
- Total energy after the MP2020 corrections: -113.95 eV for the cell shown
- Space group: I4_1/a, No. 88
- Magnetic moment: 8.000 μB per formula unit
- ΔE to the lowest computed polymorph: 0.040 eV per atom